DFT (r²SCAN) results for a relaxed Y2IrRh crystal.

Cell and atoms, written as POSCAR:
```
Y2IrRh
1.0
0.000 3.418 3.418
3.418 0.000 3.418
3.418 3.418 0.000
Y Ir Rh
2 1 1
Direct
0.250 0.250 0.250
0.750 0.750 0.750
0.000 0.000 0.000
0.500 0.500 0.500
```

Output
Its calculated formation energy is -0.91 eV per atom. The total energy comes out at -30.191 eV/atom. The space group is Fm-3m.